The following is a PBE calculation of a relaxed structure of Ba4Ce2O7, from the Materials Project.

As for the total energy: -6.9688 eV per atom. The energy above the most stable polymorph in this dataset comes out at 0.000 eV/atom. As for the formation energy: -3.17 eV per atom. Its space group is Cmce.

POSCAR file:
```
Ba4Ce2O7
1.0
3.104 -7.121 0.000
3.104 7.121 0.000
0.000 0.000 12.262
Ba Ce O
8 4 14
Direct
0.629 0.937 0.880
0.563 0.871 0.380
0.937 0.629 0.880
0.129 0.437 0.620
0.871 0.563 0.380
0.063 0.371 0.120
0.437 0.129 0.620
0.371 0.063 0.120
0.769 0.769 0.631
0.731 0.731 0.131
0.269 0.269 0.869
0.231 0.231 0.369
0.596 0.920 0.618
0.580 0.904 0.118
0.000 0.000 0.000
0.901 0.901 0.289
0.096 0.420 0.882
0.920 0.596 0.618
0.080 0.404 0.382
0.904 0.580 0.118
0.599 0.599 0.789
0.500 0.500 0.500
0.401 0.401 0.211
0.420 0.096 0.882
0.404 0.080 0.382
0.099 0.099 0.711
```